Material: Bi2OsAu
Method: DFT, PBE-GGA
State: relaxed

Results
**SG**: Fm-3m (225)
**Magnetization**: 0.14 μB per cell
**Energy of formation**: 2.82 eV per formula unit
**VASP energy**: -19.46 eV for the cell shown

a = 4.994 Å, b = 4.994 Å, c = 4.994 Å
α = 60.00°, β = 60.00°, γ = 60.00°
Fractional positions:
Bi 0.250 0.250 0.250
Bi 0.750 0.750 0.750
Os 0.000 0.000 0.000
Au 0.500 0.500 0.500